No. 1
Entry from the Materials Project database: Na3Fe2P2O8F3 after structural relaxation (PBE with a Hubbard U). Values from VASP.

Properties
As for the final energy: -896.0 eV for the cell shown. As for the formation energy: -2.57 eV/atom. The crystal system is orthorhombic. The value obtained for the energy above the most stable polymorph in this dataset is 0.000 eV/f.u.

Structure (Quantum ESPRESSO input):
```
&SYSTEM
  ibrav = 0, nat = 144, ntyp = 5
/
ATOMIC_SPECIES
Na 22.99 Na.upf
Fe 55.84 Fe.upf
P 30.97 P.upf
O 16.00 O.upf
F 19.00 F.upf
ATOMIC_POSITIONS crystal
Na 0.500 0.125 0.132
Na 0.000 0.130 0.878
Na 0.500 0.908 0.625
Na 0.500 0.408 0.875
Na 0.000 0.341 0.624
Na 0.000 0.877 0.591
Na 0.000 0.123 0.409
Na 0.000 0.623 0.091
Na 0.500 0.092 0.375
Na 0.000 0.630 0.622
Na 0.500 0.879 0.156
Na 0.000 0.377 0.909
Na 0.500 0.592 0.125
Na 0.500 0.875 0.868
Na 0.000 0.659 0.376
Na 0.500 0.121 0.844
Na 0.000 0.159 0.124
Na 0.000 0.841 0.876
Na 0.500 0.375 0.632
Na 0.500 0.625 0.368
Na 0.000 0.370 0.378
Na 0.000 0.870 0.122
Na 0.500 0.621 0.656
Na 0.500 0.379 0.344
Fe 0.689 0.248 0.497
Fe 0.689 0.748 0.003
Fe 0.189 0.002 0.251
Fe 0.811 0.002 0.251
Fe 0.689 0.252 0.997
Fe 0.311 0.252 0.997
Fe 0.189 0.502 0.249
Fe 0.811 0.498 0.751
Fe 0.189 0.498 0.751
Fe 0.311 0.748 0.003
Fe 0.311 0.248 0.497
Fe 0.189 0.998 0.749
Fe 0.689 0.752 0.503
Fe 0.811 0.502 0.249
Fe 0.311 0.752 0.503
Fe 0.811 0.998 0.749
P 0.750 0.751 0.749
P 0.250 0.249 0.251
P 0.250 0.000 0.000
P 0.250 0.500 0.000
P 0.750 0.500 0.500
P 0.250 0.251 0.751
P 0.750 0.000 0.500
P 0.750 0.749 0.249
P 0.250 0.000 0.500
P 0.750 0.249 0.251
P 0.250 0.500 0.500
P 0.750 0.000 0.000
P 0.250 0.751 0.749
P 0.750 0.500 0.000
P 0.250 0.749 0.249
P 0.750 0.251 0.751
O 0.675 0.257 0.650
O 0.675 0.743 0.350
O 0.157 0.658 0.242
O 0.837 0.011 0.095
O 0.665 0.096 0.498
O 0.843 0.158 0.258
O 0.164 0.001 0.596
O 0.163 0.011 0.095
O 0.843 0.342 0.758
O 0.337 0.405 0.489
O 0.665 0.404 0.998
O 0.837 0.511 0.405
O 0.827 0.151 0.759
O 0.337 0.595 0.511
O 0.325 0.743 0.350
O 0.157 0.342 0.758
O 0.173 0.151 0.759
O 0.655 0.756 0.659
O 0.163 0.511 0.405
O 0.655 0.744 0.159
O 0.157 0.842 0.742
O 0.173 0.651 0.741
O 0.827 0.849 0.241
O 0.157 0.158 0.258
O 0.655 0.244 0.341
O 0.337 0.905 0.011
O 0.325 0.243 0.150
O 0.827 0.651 0.741
O 0.335 0.904 0.502
O 0.337 0.095 0.989
O 0.325 0.257 0.650
O 0.836 0.999 0.404
O 0.827 0.349 0.259
O 0.836 0.001 0.596
O 0.675 0.243 0.150
O 0.164 0.499 0.096
O 0.663 0.095 0.989
O 0.836 0.499 0.096
O 0.345 0.756 0.659
O 0.843 0.842 0.742
O 0.164 0.501 0.904
O 0.163 0.489 0.595
O 0.173 0.349 0.259
O 0.675 0.757 0.850
O 0.836 0.501 0.904
O 0.325 0.757 0.850
O 0.335 0.404 0.998
O 0.345 0.244 0.341
O 0.837 0.489 0.595
O 0.335 0.596 0.002
O 0.843 0.658 0.242
O 0.655 0.256 0.841
O 0.663 0.405 0.489
O 0.837 0.989 0.905
O 0.335 0.096 0.498
O 0.665 0.904 0.502
O 0.663 0.595 0.511
O 0.665 0.596 0.002
O 0.164 0.999 0.404
O 0.163 0.989 0.905
O 0.345 0.744 0.159
O 0.173 0.849 0.241
O 0.345 0.256 0.841
O 0.663 0.905 0.011
F 0.369 0.512 0.257
F 0.869 0.757 0.012
F 0.000 0.498 0.747
F 0.369 0.488 0.743
F 0.000 0.998 0.753
F 0.131 0.257 0.488
F 0.000 0.002 0.247
F 0.000 0.502 0.253
F 0.369 0.988 0.757
F 0.631 0.988 0.757
F 0.131 0.243 0.988
F 0.500 0.753 0.001
F 0.369 0.012 0.243
F 0.500 0.747 0.501
F 0.500 0.247 0.999
F 0.631 0.488 0.743
F 0.869 0.243 0.988
F 0.131 0.743 0.512
F 0.500 0.253 0.499
F 0.869 0.257 0.488
F 0.869 0.743 0.512
F 0.631 0.012 0.243
F 0.631 0.512 0.257
F 0.131 0.757 0.012
CELL_PARAMETERS angstrom
10.799 0.000 0.000
0.000 12.952 0.000
0.000 0.000 12.956
```

=====

No. 2
Entry from the Materials Project database: NaLaZrVO6 after structural relaxation (PBE with a Hubbard U). Values from VASP.

Properties
As for the final energy: -78.4 eV for the cell shown. As for the formation energy: -3.07 eV/atom. The crystal system is cubic.

Structure (Quantum ESPRESSO input):
```
&SYSTEM
  ibrav = 0, nat = 10, ntyp = 5
/
ATOMIC_SPECIES
Na 22.99 Na.upf
La 138.91 La.upf
Zr 91.22 Zr.upf
V 50.94 V.upf
O 16.00 O.upf
ATOMIC_POSITIONS crystal
Na 0.750 0.750 0.750
La 0.250 0.250 0.250
Zr 0.000 0.000 0.000
V 0.500 0.500 0.500
O 0.741 0.259 0.259
O 0.259 0.741 0.741
O 0.741 0.259 0.741
O 0.259 0.741 0.259
O 0.741 0.741 0.259
O 0.259 0.259 0.741
CELL_PARAMETERS angstrom
-2.115 2.889 -4.392
-2.424 -2.769 -4.309
-5.607 0.295 -0.761
```

=====

No. 3
Entry from the Materials Project database: Li2Mn3Si2O8 after structural relaxation (PBE with a Hubbard U). Values from VASP.

Properties
As for the final energy: -330.4 eV for the cell shown. As for the formation energy: -2.59 eV/atom. The crystal system is triclinic.

Structure (Quantum ESPRESSO input):
```
&SYSTEM
  ibrav = 0, nat = 45, ntyp = 4
/
ATOMIC_SPECIES
Li 6.94 Li.upf
Mn 54.94 Mn.upf
Si 28.09 Si.upf
O 16.00 O.upf
ATOMIC_POSITIONS crystal
Li 0.440 0.360 0.767
Li 0.390 0.628 0.686
Li 0.257 0.528 0.467
Li 0.486 0.096 0.853
Li 0.725 0.342 0.360
Li 0.607 0.224 0.098
Mn 0.013 0.010 0.999
Mn 0.281 0.218 0.499
Mn 0.199 0.451 0.187
Mn 0.283 0.859 0.342
Mn 0.932 0.600 0.838
Mn 0.597 0.522 0.030
Mn 0.681 0.929 0.190
Mn 0.928 0.125 0.689
Mn 0.850 0.715 0.536
Si 0.030 0.311 0.933
Si 0.491 0.798 0.938
Si 0.187 0.157 0.254
Si 0.383 0.932 0.598
Si 0.832 0.416 0.597
Si 0.760 0.634 0.283
O 0.046 0.548 0.591
O 0.023 0.272 0.608
O 0.180 0.242 0.832
O 0.075 0.919 0.616
O 0.379 0.973 0.961
O 0.061 0.235 0.359
O 0.321 0.652 0.841
O 0.388 0.995 0.497
O 0.391 0.278 0.231
O 0.482 0.752 0.573
O 0.553 0.066 0.704
O 0.366 0.010 0.264
O 0.280 0.379 0.035
O 0.439 0.647 0.280
O 0.786 0.810 0.908
O 0.589 0.370 0.492
O 0.679 0.474 0.699
O 0.834 0.450 0.917
O 0.830 0.188 0.956
O 0.528 0.752 0.049
O 0.909 0.585 0.384
O 0.800 0.495 0.173
O 0.879 0.804 0.283
O 0.925 0.090 0.154
CELL_PARAMETERS angstrom
5.124 0.000 0.000
-0.078 9.069 0.000
-2.456 -4.332 12.704
```

=====

No. 4
Entry from the Materials Project database: Li6Ni11O22 after structural relaxation (PBE with a Hubbard U). Values from VASP.

Properties
As for the final energy: -187.9 eV for the cell shown. As for the formation energy: -1.21 eV/atom. The crystal system is triclinic.

Structure (Quantum ESPRESSO input):
```
&SYSTEM
  ibrav = 0, nat = 39, ntyp = 3
/
ATOMIC_SPECIES
Li 6.94 Li.upf
Ni 58.69 Ni.upf
O 16.00 O.upf
ATOMIC_POSITIONS crystal
Li 0.819 0.457 0.544
Li 0.635 0.894 0.107
Li 0.452 0.361 0.631
Li 0.362 0.092 0.909
Li 0.184 0.562 0.438
Li 0.001 0.003 0.003
Ni 0.774 0.319 0.181
Ni 0.685 0.049 0.457
Ni 0.949 0.860 0.632
Ni 0.500 0.501 0.001
Ni 0.863 0.593 0.912
Ni 0.411 0.226 0.272
Ni 0.588 0.772 0.728
Ni 0.135 0.406 0.085
Ni 0.052 0.142 0.367
Ni 0.318 0.954 0.545
Ni 0.225 0.681 0.817
O 0.894 0.166 0.122
O 0.930 0.295 0.426
O 0.820 0.989 0.711
O 0.985 0.466 0.824
O 0.545 0.096 0.197
O 0.646 0.446 0.262
O 0.819 0.922 0.385
O 0.557 0.190 0.519
O 0.705 0.618 0.667
O 0.273 0.253 0.024
O 0.632 0.367 0.933
O 0.377 0.643 0.059
O 0.739 0.739 0.975
O 0.286 0.357 0.354
O 0.439 0.808 0.485
O 0.206 0.104 0.614
O 0.354 0.552 0.737
O 0.460 0.904 0.811
O 0.993 0.544 0.160
O 0.173 0.009 0.284
O 0.080 0.719 0.571
O 0.092 0.816 0.887
CELL_PARAMETERS angstrom
-0.360 3.320 6.673
2.022 4.666 -5.702
-6.915 -0.036 -3.399
```

=====

No. 5
Entry from the Materials Project database: BaNdCo2O5 after structural relaxation (PBE with a Hubbard U). Values from VASP.

Properties
As for the final energy: -59.9 eV for the cell shown. As for the formation energy: -2.33 eV/atom. The crystal system is tetragonal. The value obtained for the energy above the most stable polymorph in this dataset is 0.008 eV/f.u.

Structure (Quantum ESPRESSO input):
```
&SYSTEM
  ibrav = 0, nat = 9, ntyp = 4
/
ATOMIC_SPECIES
Ba 137.33 Ba.upf
Nd 144.24 Nd.upf
Co 58.93 Co.upf
O 16.00 O.upf
ATOMIC_POSITIONS crystal
Ba 0.500 0.500 0.500
Nd 0.500 0.500 0.000
Co 0.000 0.000 0.245
Co 0.000 0.000 0.755
O 0.000 0.500 0.192
O 0.000 0.500 0.808
O 0.500 0.000 0.192
O 0.500 0.000 0.808
O 0.000 0.000 0.500
CELL_PARAMETERS angstrom
3.958 0.000 0.000
0.000 3.958 0.000
0.000 0.000 7.783
```

=====

No. 6
Entry from the Materials Project database: Na3CrBPO7 after structural relaxation (PBE with a Hubbard U). Values from VASP.

Properties
As for the final energy: -347.1 eV for the cell shown. As for the formation energy: -2.56 eV/atom.

Structure (Quantum ESPRESSO input):
```
&SYSTEM
  ibrav = 0, nat = 52, ntyp = 5
/
ATOMIC_SPECIES
Na 22.99 Na.upf
Cr 52.00 Cr.upf
B 10.81 B.upf
P 30.97 P.upf
O 16.00 O.upf
ATOMIC_POSITIONS crystal
Na 0.758 0.072 0.125
Na 0.758 0.073 0.625
Na 0.242 0.928 0.375
Na 0.242 0.928 0.875
Na 0.251 0.254 0.002
Na 0.251 0.254 0.502
Na 0.251 0.254 0.248
Na 0.251 0.254 0.748
Na 0.749 0.746 0.252
Na 0.749 0.746 0.752
Na 0.749 0.746 0.498
Na 0.749 0.746 0.998
Cr 0.779 0.337 0.875
Cr 0.221 0.664 0.625
Cr 0.779 0.337 0.375
Cr 0.221 0.663 0.125
B 0.729 0.068 0.375
B 0.729 0.068 0.875
B 0.271 0.932 0.125
B 0.271 0.932 0.625
P 0.719 0.422 0.125
P 0.719 0.423 0.625
P 0.281 0.578 0.375
P 0.281 0.577 0.875
O 0.302 0.080 0.125
O 0.301 0.080 0.625
O 0.698 0.920 0.375
O 0.698 0.920 0.875
O 0.964 0.138 0.375
O 0.964 0.138 0.875
O 0.036 0.862 0.125
O 0.036 0.862 0.625
O 0.529 0.176 0.375
O 0.529 0.176 0.875
O 0.471 0.823 0.125
O 0.471 0.824 0.625
O 0.430 0.464 0.125
O 0.430 0.464 0.625
O 0.570 0.536 0.375
O 0.570 0.536 0.875
O 0.127 0.434 0.375
O 0.127 0.434 0.875
O 0.873 0.566 0.125
O 0.873 0.566 0.625
O 0.785 0.323 0.031
O 0.785 0.323 0.531
O 0.786 0.322 0.219
O 0.786 0.323 0.719
O 0.214 0.677 0.281
O 0.214 0.678 0.781
O 0.215 0.677 0.469
O 0.215 0.677 0.969
CELL_PARAMETERS angstrom
0.077 0.000 5.289
8.949 0.001 0.159
0.001 13.165 0.000
```

=====

No. 7
Entry from the Materials Project database: Ba3La7Mn2Co8O30 after structural relaxation (PBE with a Hubbard U). Values from VASP.

Properties
As for the final energy: -350.0 eV for the cell shown. As for the formation energy: -2.46 eV/atom. The crystal system is monoclinic.

Structure (Quantum ESPRESSO input):
```
&SYSTEM
  ibrav = 0, nat = 50, ntyp = 5
/
ATOMIC_SPECIES
Ba 137.33 Ba.upf
La 138.91 La.upf
Mn 54.94 Mn.upf
Co 58.93 Co.upf
O 16.00 O.upf
ATOMIC_POSITIONS crystal
Ba 0.000 0.000 0.000
Ba 0.000 0.397 0.896
Ba 0.000 0.603 0.104
La 0.000 0.196 0.696
La 0.000 0.201 0.203
La 0.000 0.401 0.399
La 0.000 0.804 0.304
La 0.000 0.599 0.601
La 0.000 0.000 0.500
La 0.000 0.799 0.797
Mn 0.500 0.301 0.051
Mn 0.500 0.699 0.949
Co 0.500 0.901 0.154
Co 0.500 0.502 0.254
Co 0.500 0.700 0.451
Co 0.500 0.101 0.353
Co 0.500 0.899 0.647
Co 0.500 0.300 0.549
Co 0.500 0.498 0.746
Co 0.500 0.099 0.846
O 0.500 0.386 0.157
O 0.500 0.800 0.049
O 0.500 0.598 0.355
O 0.500 0.007 0.257
O 0.500 0.805 0.549
O 0.500 0.195 0.451
O 0.500 0.993 0.743
O 0.500 0.402 0.645
O 0.500 0.200 0.951
O 0.500 0.614 0.843
O 0.500 0.500 0.000
O 0.500 0.303 0.306
O 0.500 0.101 0.110
O 0.500 0.715 0.212
O 0.500 0.900 0.402
O 0.500 0.697 0.694
O 0.500 0.500 0.500
O 0.500 0.100 0.598
O 0.500 0.899 0.890
O 0.500 0.285 0.788
O 0.000 0.295 0.062
O 0.000 0.501 0.261
O 0.000 0.913 0.165
O 0.000 0.701 0.451
O 0.000 0.099 0.354
O 0.000 0.901 0.646
O 0.000 0.299 0.549
O 0.000 0.087 0.835
O 0.000 0.499 0.739
O 0.000 0.705 0.938
CELL_PARAMETERS angstrom
-2.313 -2.240 -2.225
-3.935 -3.067 7.180
-11.731 12.891 -0.786
```

=====

No. 8
Entry from the Materials Project database: Zn3Si4Ni2O14 after structural relaxation (PBE with a Hubbard U). Values from VASP.

Properties
As for the final energy: -288.0 eV for the cell shown. As for the formation energy: -2.28 eV/atom. The crystal system is monoclinic.

Structure (Quantum ESPRESSO input):
```
&SYSTEM
  ibrav = 0, nat = 46, ntyp = 4
/
ATOMIC_SPECIES
Zn 65.41 Zn.upf
Si 28.09 Si.upf
Ni 58.69 Ni.upf
O 16.00 O.upf
ATOMIC_POSITIONS crystal
Zn 0.072 0.264 0.105
Zn 0.736 0.928 0.395
Zn 0.264 0.072 0.605
Zn 0.381 0.619 0.750
Zn 0.928 0.736 0.895
Zn 0.619 0.381 0.250
Si 0.537 0.099 0.706
Si 0.099 0.537 0.206
Si 0.528 0.232 0.100
Si 0.232 0.528 0.600
Si 0.901 0.463 0.794
Si 0.472 0.768 0.900
Si 0.768 0.472 0.400
Si 0.463 0.901 0.294
Ni 0.785 0.215 0.750
Ni 0.215 0.785 0.250
Ni 0.000 0.000 0.000
Ni 0.000 0.000 0.500
O 0.841 0.292 0.332
O 0.975 0.875 0.417
O 0.459 0.639 0.092
O 0.875 0.975 0.917
O 0.241 0.965 0.315
O 0.053 0.512 0.622
O 0.639 0.459 0.592
O 0.035 0.759 0.185
O 0.947 0.488 0.378
O 0.634 0.673 0.271
O 0.025 0.125 0.583
O 0.759 0.035 0.685
O 0.488 0.947 0.878
O 0.292 0.841 0.832
O 0.673 0.634 0.771
O 0.965 0.241 0.815
O 0.908 0.494 0.941
O 0.366 0.327 0.729
O 0.506 0.092 0.559
O 0.327 0.366 0.229
O 0.512 0.053 0.122
O 0.125 0.025 0.083
O 0.494 0.908 0.441
O 0.541 0.361 0.908
O 0.092 0.506 0.059
O 0.361 0.541 0.408
O 0.708 0.159 0.168
O 0.159 0.708 0.668
CELL_PARAMETERS angstrom
3.727 -8.258 1.200
8.712 -2.756 -0.181
4.575 -2.064 8.292
```

=====

The lowest final energy belongs to which entry? Na3Fe2P2O8F3

=====

Copy entry 2 word for word.
Entry from the Materials Project database: NaLaZrVO6 after structural relaxation (PBE with a Hubbard U). Values from VASP.

Properties
As for the final energy: -78.4 eV for the cell shown. As for the formation energy: -3.07 eV/atom. The crystal system is cubic.

Structure (Quantum ESPRESSO input):
```
&SYSTEM
  ibrav = 0, nat = 10, ntyp = 5
/
ATOMIC_SPECIES
Na 22.99 Na.upf
La 138.91 La.upf
Zr 91.22 Zr.upf
V 50.94 V.upf
O 16.00 O.upf
ATOMIC_POSITIONS crystal
Na 0.750 0.750 0.750
La 0.250 0.250 0.250
Zr 0.000 0.000 0.000
V 0.500 0.500 0.500
O 0.741 0.259 0.259
O 0.259 0.741 0.741
O 0.741 0.259 0.741
O 0.259 0.741 0.259
O 0.741 0.741 0.259
O 0.259 0.259 0.741
CELL_PARAMETERS angstrom
-2.115 2.889 -4.392
-2.424 -2.769 -4.309
-5.607 0.295 -0.761
```

=====

final energy of number 5 (BaNdCo2O5)? -59.9 eV for the cell shown

=====

Which of these has the highest final energy? BaNdCo2O5